# 1
## CrCuSnSe4 (PBE)

Data for a geometry-optimized CrCuSnSe4 structure.

extended XYZ file:
```
14
Lattice="-0.120 -1.649 7.459 -6.584 -3.748 -0.981 6.155 -1.852 -4.129" Properties=species:S:1:pos:R:3 pbc="T T T"
Cr -0.060 -0.824 3.729
Cr -0.274 -3.624 1.175
Cu -2.714 -4.275 4.913
Cu 2.166 -2.974 -2.564
Sn 3.018 -1.750 1.665
Sn 0.000 0.000 0.000
Se -1.855 -4.877 2.722
Se -1.643 -2.118 5.239
Se 0.999 -5.805 0.637
Se -1.734 -4.220 -0.870
Se 1.306 -2.372 -0.373
Se 1.094 -5.130 -2.890
Se -1.547 -1.443 1.712
Se 1.185 -3.028 3.219
```

Calculated values
**DFT formation energy**: -457 kJ/mol of formula units
**Uncorrected energy**: -69.180 eV per cell
**Space-group type**: Imma (74)
**Crystal system**: orthorhombic


# 2
## TiCr3Cu2Se8 (PBE)

Data for a geometry-optimized TiCr3Cu2Se8 structure.

extended XYZ file:
```
14
Lattice="6.249 -3.748 0.000 6.249 3.748 0.000 4.001 0.000 6.090" Properties=species:S:1:pos:R:3 pbc="T T T"
Ti 8.249 0.000 3.045
Cr 5.125 1.874 3.045
Cr 6.249 0.000 0.000
Cr 5.125 -1.874 3.045
Cu 2.043 0.000 0.754
Cu 14.455 0.000 5.336
Se 7.177 1.788 1.549
Se 6.105 0.000 4.454
Se 7.177 -1.788 1.549
Se 4.275 0.000 1.578
Se 9.322 -1.788 4.541
Se 10.394 0.000 1.636
Se 9.322 1.788 4.541
Se 12.223 0.000 4.512
```

Calculated values
**DFT formation energy**: -1166 kJ/mol of formula units
**Uncorrected energy**: -81.332 eV per cell
**Space-group type**: R-3m (166)
**Crystal system**: trigonal


# 3
## ZnCr8Cu3Se16 (PBE)

Data for a geometry-optimized ZnCr8Cu3Se16 structure.

extended XYZ file:
```
28
Lattice="-7.014 -6.358 -8.545 -6.770 -10.527 -2.446 -11.458 -4.825 -2.841" Properties=species:S:1:pos:R:3 pbc="T T T"
Zn -14.195 -12.209 -7.779
Cr -6.343 -5.456 -3.476
Cr -18.925 -16.277 -10.371
Cr -21.832 -16.448 -12.589
Cr -9.238 -5.609 -5.690
Cr -6.910 -8.441 -5.494
Cr -19.512 -19.271 -12.394
Cr -21.712 -18.512 -9.570
Cr -9.117 -7.680 -2.661
Cu -1.577 -1.356 -0.864
Cu -23.667 -20.354 -12.969
Cu -11.044 -9.498 -6.052
Se -15.911 -13.684 -8.719
Se -3.256 -2.800 -1.784
Se -12.741 -13.502 -6.298
Se -18.617 -13.806 -10.794
Se -15.277 -10.418 -6.511
Se -16.419 -16.479 -10.609
Se -12.873 -11.247 -9.597
Se -18.503 -15.761 -7.934
Se -21.985 -18.908 -12.047
Se -9.368 -8.057 -5.134
Se -6.626 -7.906 -3.038
Se -12.474 -8.228 -7.507
Se -8.826 -5.230 -3.223
Se -9.983 -11.258 -7.297
Se -6.740 -5.950 -5.900
Se -12.344 -10.444 -4.266
```

Calculated values
**DFT formation energy**: -2102 kJ/mol of formula units
**Uncorrected energy**: -160.947 eV per cell
**Space-group type**: R3m (160)
**Crystal system**: trigonal


# 4
## ZrCrCuSe4 (PBE)

Data for a geometry-optimized ZrCrCuSe4 structure.

extended XYZ file:
```
14
Lattice="-3.767 3.845 5.372 3.767 -3.845 5.372 3.767 3.845 -5.372" Properties=species:S:1:pos:R:3 pbc="T T T"
Zr 1.883 -1.922 2.686
Zr 1.883 1.922 -2.686
Cr 0.000 0.000 5.372
Cr 3.767 0.000 0.000
Cu 3.767 1.922 4.044
Cu 0.000 1.922 1.328
Se 3.767 0.007 2.584
Se 3.767 3.838 2.584
Se 1.736 1.922 5.358
Se -1.736 1.922 5.358
Se 0.000 3.838 2.788
Se 0.000 0.007 2.788
Se 2.031 1.922 0.014
Se 5.502 1.922 0.014
```

Calculated values
**DFT formation energy**: -710 kJ/mol of formula units
**Uncorrected energy**: -83.505 eV per cell
**Space-group type**: Imma (74)
**Crystal system**: orthorhombic


# 5
## Cr2CuTe4 (PBE)

Data for a geometry-optimized Cr2CuTe4 structure.

extended XYZ file:
```
14
Lattice="0.000 5.598 5.598 5.598 0.000 5.598 5.598 5.598 0.000" Properties=species:S:1:pos:R:3 pbc="T T T"
Cr 4.199 1.400 4.199
Cr 4.199 4.199 1.400
Cr 1.400 4.199 4.199
Cr 1.400 1.400 1.400
Cu 8.397 8.397 8.397
Cu 5.598 5.598 5.598
Te 7.078 4.119 7.078
Te 6.918 6.918 9.877
Te 9.877 6.918 6.918
Te 9.877 9.877 9.877
Te 4.119 7.078 7.078
Te 4.119 4.119 4.119
Te 7.078 7.078 4.119
Te 6.918 9.877 6.918
```

Calculated values
**DFT formation energy**: -309 kJ/mol of formula units
**Uncorrected energy**: -74.990 eV per cell
**Space-group type**: Fd-3m (227)
**Crystal system**: cubic


# 6
## Cr4Cu3Te8 (PBE)

Data for a geometry-optimized Cr4Cu3Te8 structure.

extended XYZ file:
```
15
Lattice="-4.004 4.014 5.662 4.004 -4.014 5.662 4.004 4.014 -5.662" Properties=species:S:1:pos:R:3 pbc="T T T"
Cr 2.055 4.014 2.888
Cr 0.000 2.064 5.705
Cr 4.004 1.950 0.043
Cr 1.949 0.000 8.550
Cu 4.004 0.000 4.248
Cu 0.000 4.014 1.254
Cu 0.000 0.000 1.408
Te 0.000 1.890 8.416
Te 1.792 0.000 5.678
Te 4.004 2.124 2.754
Te 2.212 4.014 0.016
Te 1.886 4.014 5.587
Te -1.886 4.014 5.587
Te 4.004 1.954 -2.695
Te 0.000 2.060 2.967
```

Calculated values
**DFT formation energy**: -588 kJ/mol of formula units
**Uncorrected energy**: -78.778 eV per cell
**Space-group type**: Imm2 (44)
**Crystal system**: orthorhombic